{
  "formula": "Na14Hf4Sc4Si9S3O48",
  "functional": "PBE",
  "state": "relaxed",
  "spacegroup": "No. 1",
  "formation_enthalpy_0k_ev_per_atom": -2.9945,
  "e_tot_ev_per_cell": -1784.97,
  "vol_a3_per_cell": 3305.5,
  "lattice_angstrom": [[9.184, 0.000, 0.000], [-0.001, 15.900, 0.000], [-0.012, -0.056, 22.636]],
  "species": ["Na", "Na", "Na", "Na", "Na", "Na", "Na", "Na", "Na", "Na", "Na", "Na", "Na", "Na", "Na", "Na", "Na", "Na", "Na", "Na", "Na", "Na", "Na", "Na", "Na", "Na", "Na", "Na", "Na", "Na", "Na", "Na", "Na", "Na", "Na", "Na", "Na", "Na", "Na", "Na", "Na", "Na", "Hf", "Hf", "Hf", "Hf", "Hf", "Hf", "Hf", "Hf", "Hf", "Hf", "Hf", "Hf", "Sc", "Sc", "Sc", "Sc", "Sc", "Sc", "Sc", "Sc", "Sc", "Sc", "Sc", "Sc", "Si", "Si", "Si", "Si", "Si", "Si", "Si", "Si", "Si", "Si", "Si", "Si", "Si", "Si", "Si", "Si", "Si", "Si", "Si", "Si", "Si", "Si", "Si", "Si", "Si", "Si", "Si", "S", "S", "S", "S", "S", "S", "S", "S", "S", "O", "O", "O", "O", "O", "O", "O", "O", "O", "O", "O", "O", "O", "O", "O", "O", "O", "O", "O", "O", "O", "O", "O", "O", "O", "O", "O", "O", "O", "O", "O", "O", "O", "O", "O", "O", "O", "O", "O", "O", "O", "O", "O", "O", "O", "O", "O", "O", "O", "O", "O", "O", "O", "O", "O", "O", "O", "O", "O", "O", "O", "O", "O", "O", "O", "O", "O", "O", "O", "O", "O", "O", "O", "O", "O", "O", "O", "O", "O", "O", "O", "O", "O", "O", "O", "O", "O", "O", "O", "O", "O", "O", "O", "O", "O", "O", "O", "O", "O", "O", "O", "O", "O", "O", "O", "O", "O", "O", "O", "O", "O", "O", "O", "O", "O", "O", "O", "O", "O", "O", "O", "O", "O", "O", "O", "O", "O", "O", "O", "O", "O", "O", "O", "O", "O", "O", "O", "O", "O", "O", "O", "O", "O", "O"],
  "frac_coords": [[0.000, 0.000, 0.000], [0.000, 0.046, 0.669], [0.003, 0.345, 0.331], [0.017, 0.706, 0.323], [0.126, 0.210, 0.827], [0.144, 0.498, 0.496], [0.144, 0.538, 0.168], [0.145, 0.845, 0.843], [0.168, 0.855, 0.163], [0.190, 0.194, 0.504], [0.201, 0.521, 0.840], [0.314, 0.684, 0.248], [0.316, 0.368, 0.919], [0.317, 0.029, 0.082], [0.329, 0.034, 0.581], [0.329, 0.362, 0.417], [0.329, 0.685, 0.754], [0.447, 0.515, 0.334], [0.469, 0.190, 0.007], [0.473, 0.857, 0.668], [0.498, 0.539, 0.670], [0.501, 0.845, 0.337], [0.503, 0.511, 0.001], [0.512, 0.872, 0.998], [0.521, 0.212, 0.330], [0.624, 0.709, 0.835], [0.634, 0.371, 0.494], [0.645, 0.016, 0.495], [0.645, 0.346, 0.840], [0.648, 0.043, 0.168], [0.677, 0.688, 0.499], [0.684, 0.357, 0.168], [0.700, 0.018, 0.840], [0.817, 0.861, 0.923], [0.823, 0.527, 0.085], [0.825, 0.193, 0.250], [0.829, 0.526, 0.580], [0.832, 0.187, 0.750], [0.833, 0.868, 0.413], [0.944, 0.022, 0.336], [0.956, 0.692, 0.007], [0.977, 0.355, 0.663], [0.321, 0.685, 0.099], [0.322, 0.026, 0.731], [0.323, 0.024, 0.230], [0.324, 0.016, 0.439], [0.325, 0.361, 0.068], [0.334, 0.688, 0.602], [0.812, 0.859, 0.564], [0.817, 0.193, 0.105], [0.820, 0.515, 0.940], [0.823, 0.186, 0.599], [0.823, 0.524, 0.730], [0.830, 0.521, 0.228], [0.308, 0.364, 0.767], [0.311, 0.354, 0.563], [0.324, 0.014, 0.936], [0.324, 0.361, 0.265], [0.324, 0.688, 0.398], [0.332, 0.690, 0.901], [0.810, 0.862, 0.768], [0.813, 0.191, 0.400], [0.821, 0.512, 0.434], [0.823, 0.189, 0.900], [0.835, 0.854, 0.064], [0.837, 0.863, 0.266], [0.028, 0.023, 0.834], [0.032, 0.354, 0.170], [0.118, 0.523, 0.336], [0.173, 0.507, 0.665], [0.175, 0.209, 0.666], [0.176, 0.541, 0.997], [0.177, 0.876, 0.332], [0.178, 0.837, 0.999], [0.464, 0.209, 0.166], [0.468, 0.875, 0.832], [0.469, 0.835, 0.500], [0.472, 0.508, 0.168], [0.474, 0.542, 0.498], [0.527, 0.191, 0.498], [0.528, 0.522, 0.832], [0.618, 0.023, 0.333], [0.619, 0.691, 0.998], [0.670, 0.334, 0.999], [0.672, 0.008, 0.668], [0.673, 0.044, 0.999], [0.674, 0.374, 0.332], [0.680, 0.709, 0.667], [0.967, 0.336, 0.499], [0.969, 0.376, 0.832], [0.971, 0.041, 0.498], [0.972, 0.710, 0.167], [0.973, 0.006, 0.165], [0.032, 0.693, 0.500], [0.114, 0.856, 0.668], [0.116, 0.192, 0.999], [0.180, 0.167, 0.335], [0.468, 0.170, 0.834], [0.529, 0.856, 0.168], [0.617, 0.356, 0.668], [0.678, 0.669, 0.334], [0.967, 0.669, 0.833], [0.001, 0.847, 0.002], [0.011, 0.538, 0.278], [0.015, 0.515, 0.394], [0.017, 0.867, 0.616], [0.018, 0.181, 0.050], [0.019, 0.174, 0.337], [0.030, 0.845, 0.722], [0.031, 0.202, 0.944], [0.116, 0.704, 0.445], [0.122, 0.342, 0.230], [0.128, 0.675, 0.835], [0.130, 0.683, 0.552], [0.132, 0.013, 0.892], [0.135, 0.036, 0.776], [0.143, 0.371, 0.114], [0.145, 0.347, 0.503], [0.147, 0.366, 0.829], [0.148, 0.039, 0.494], [0.151, 0.010, 0.173], [0.153, 0.703, 0.162], [0.202, 0.448, 0.608], [0.206, 0.601, 0.056], [0.206, 0.934, 0.671], [0.208, 0.266, 0.725], [0.209, 0.115, 0.996], [0.209, 0.780, 0.940], [0.209, 0.939, 0.388], [0.212, 0.266, 0.005], [0.213, 0.114, 0.282], [0.213, 0.783, 0.661], [0.217, 0.438, 0.332], [0.223, 0.608, 0.337], [0.237, 0.111, 0.672], [0.240, 0.127, 0.388], [0.240, 0.252, 0.608], [0.246, 0.601, 0.659], [0.247, 0.251, 0.330], [0.247, 0.922, 0.274], [0.250, 0.791, 0.057], [0.251, 0.467, 0.724], [0.251, 0.583, 0.939], [0.252, 0.931, 0.997], [0.254, 0.449, 0.005], [0.255, 0.784, 0.338], [0.386, 0.783, 0.833], [0.393, 0.600, 0.161], [0.395, 0.466, 0.225], [0.397, 0.587, 0.442], [0.400, 0.253, 0.107], [0.400, 0.925, 0.774], [0.401, 0.792, 0.559], [0.403, 0.111, 0.171], [0.405, 0.133, 0.887], [0.406, 0.255, 0.826], [0.406, 0.449, 0.506], [0.408, 0.931, 0.496], [0.422, 0.107, 0.494], [0.422, 0.605, 0.834], [0.428, 0.275, 0.507], [0.429, 0.784, 0.163], [0.433, 0.435, 0.829], [0.435, 0.115, 0.781], [0.436, 0.935, 0.172], [0.437, 0.604, 0.557], [0.438, 0.266, 0.225], [0.443, 0.447, 0.110], [0.443, 0.934, 0.890], [0.444, 0.777, 0.442], [0.492, 0.342, 0.003], [0.494, 0.010, 0.672], [0.494, 0.042, 0.995], [0.497, 0.362, 0.329], [0.498, 0.703, 0.662], [0.505, 0.673, 0.052], [0.510, 0.034, 0.275], [0.511, 0.012, 0.391], [0.516, 0.676, 0.337], [0.525, 0.707, 0.938], [0.527, 0.369, 0.615], [0.529, 0.347, 0.722], [0.617, 0.847, 0.222], [0.619, 0.869, 0.115], [0.623, 0.206, 0.439], [0.630, 0.175, 0.835], [0.634, 0.535, 0.774], [0.636, 0.512, 0.890], [0.639, 0.172, 0.553], [0.645, 0.199, 0.161], [0.646, 0.863, 0.828], [0.649, 0.513, 0.173], [0.650, 0.843, 0.506], [0.653, 0.542, 0.496], [0.700, 0.432, 0.392], [0.702, 0.278, 0.939], [0.707, 0.945, 0.611], [0.709, 0.767, 0.724], [0.710, 0.615, 0.282], [0.711, 0.434, 0.672], [0.712, 0.104, 0.056], [0.713, 0.935, 0.330], [0.717, 0.283, 0.663], [0.718, 0.775, 0.006], [0.723, 0.607, 0.993], [0.724, 0.105, 0.335], [0.737, 0.430, 0.995], [0.738, 0.611, 0.670], [0.739, 0.633, 0.389], [0.740, 0.289, 0.057], [0.741, 0.755, 0.327], [0.741, 0.949, 0.006], [0.745, 0.425, 0.276], [0.747, 0.754, 0.608], [0.748, 0.086, 0.940], [0.748, 0.964, 0.725], [0.750, 0.099, 0.661], [0.759, 0.283, 0.334], [0.891, 0.081, 0.441], [0.891, 0.284, 0.837], [0.893, 0.431, 0.498], [0.896, 0.292, 0.558], [0.896, 0.965, 0.224], [0.897, 0.098, 0.158], [0.898, 0.947, 0.509], [0.899, 0.422, 0.773], [0.903, 0.753, 0.826], [0.904, 0.631, 0.887], [0.906, 0.753, 0.108], [0.908, 0.614, 0.173], [0.919, 0.276, 0.160], [0.923, 0.107, 0.836], [0.930, 0.440, 0.172], [0.932, 0.936, 0.828], [0.933, 0.614, 0.781], [0.936, 0.440, 0.887], [0.936, 0.768, 0.507], [0.937, 0.278, 0.442], [0.938, 0.617, 0.498], [0.940, 0.100, 0.557], [0.941, 0.768, 0.225], [0.946, 0.945, 0.108], [0.994, 0.202, 0.663], [0.994, 0.512, 0.673], [0.998, 0.539, 0.992], [0.999, 0.866, 0.330]]
}

---

{
  "formula": "Na2Hf4Sc4Si3S9O48",
  "functional": "PBE",
  "state": "relaxed",
  "spacegroup": "No. 1",
  "formation_enthalpy_0k_ev_per_atom": -2.7585,
  "e_tot_ev_per_cell": -1556.78,
  "vol_a3_per_cell": 3193.5,
  "lattice_angstrom": [[8.907, 0.000, 0.000], [0.018, 15.455, 0.000], [0.039, 0.079, 23.198]],
  "species": ["Na", "Na", "Na", "Na", "Na", "Na", "Hf", "Hf", "Hf", "Hf", "Hf", "Hf", "Hf", "Hf", "Hf", "Hf", "Hf", "Hf", "Sc", "Sc", "Sc", "Sc", "Sc", "Sc", "Sc", "Sc", "Sc", "Sc", "Sc", "Sc", "Si", "Si", "Si", "Si", "Si", "Si", "Si", "Si", "Si", "S", "S", "S", "S", "S", "S", "S", "S", "S", "S", "S", "S", "S", "S", "S", "S", "S", "S", "S", "S", "S", "S", "S", "S", "S", "S", "S", "O", "O", "O", "O", "O", "O", "O", "O", "O", "O", "O", "O", "O", "O", "O", "O", "O", "O", "O", "O", "O", "O", "O", "O", "O", "O", "O", "O", "O", "O", "O", "O", "O", "O", "O", "O", "O", "O", "O", "O", "O", "O", "O", "O", "O", "O", "O", "O", "O", "O", "O", "O", "O", "O", "O", "O", "O", "O", "O", "O", "O", "O", "O", "O", "O", "O", "O", "O", "O", "O", "O", "O", "O", "O", "O", "O", "O", "O", "O", "O", "O", "O", "O", "O", "O", "O", "O", "O", "O", "O", "O", "O", "O", "O", "O", "O", "O", "O", "O", "O", "O", "O", "O", "O", "O", "O", "O", "O", "O", "O", "O", "O", "O", "O", "O", "O", "O", "O", "O", "O", "O", "O", "O", "O", "O", "O", "O", "O", "O", "O", "O", "O", "O", "O", "O", "O", "O", "O", "O", "O", "O", "O", "O", "O"],
  "frac_coords": [[0.000, 0.000, 0.000], [0.000, 0.005, 0.503], [0.494, 0.500, 0.006], [0.495, 0.498, 0.499], [0.506, 0.832, 0.667], [0.989, 0.332, 0.171], [0.001, 0.318, 0.522], [0.011, 0.323, 0.811], [0.012, 0.666, 0.190], [0.484, 0.824, 0.312], [0.485, 0.166, 0.687], [0.493, 0.825, 0.025], [0.496, 0.491, 0.851], [0.497, 0.492, 0.354], [0.502, 0.167, 0.192], [0.994, 0.666, 0.690], [0.997, 0.995, 0.355], [0.999, 0.994, 0.852], [0.001, 0.322, 0.018], [0.005, 0.991, 0.151], [0.007, 0.662, 0.475], [0.010, 0.659, 0.983], [0.488, 0.163, 0.976], [0.489, 0.490, 0.648], [0.495, 0.161, 0.478], [0.495, 0.824, 0.517], [0.502, 0.496, 0.149], [0.509, 0.831, 0.812], [0.978, 0.325, 0.316], [0.992, 0.996, 0.646], [0.141, 0.181, 0.918], [0.141, 0.852, 0.251], [0.208, 0.158, 0.582], [0.290, 0.657, 0.084], [0.354, 0.350, 0.749], [0.355, 0.681, 0.418], [0.648, 0.354, 0.249], [0.848, 0.182, 0.417], [0.852, 0.853, 0.749], [0.141, 0.474, 0.917], [0.142, 0.141, 0.249], [0.142, 0.518, 0.583], [0.143, 0.807, 0.583], [0.208, 0.494, 0.250], [0.209, 0.828, 0.917], [0.286, 0.329, 0.417], [0.288, 0.995, 0.750], [0.353, 0.019, 0.083], [0.353, 0.307, 0.084], [0.354, 0.641, 0.750], [0.354, 0.973, 0.417], [0.641, 0.016, 0.584], [0.642, 0.308, 0.583], [0.643, 0.973, 0.918], [0.644, 0.640, 0.250], [0.644, 0.684, 0.917], [0.708, 0.662, 0.584], [0.709, 0.330, 0.917], [0.709, 0.995, 0.250], [0.786, 0.829, 0.417], [0.787, 0.161, 0.083], [0.787, 0.495, 0.750], [0.851, 0.140, 0.750], [0.853, 0.474, 0.418], [0.854, 0.517, 0.083], [0.854, 0.808, 0.083], [0.064, 0.228, 0.974], [0.064, 0.758, 0.241], [0.066, 0.085, 0.909], [0.066, 0.900, 0.306], [0.073, 0.101, 0.198], [0.074, 0.433, 0.575], [0.075, 0.560, 0.923], [0.075, 0.893, 0.591], [0.076, 0.766, 0.533], [0.077, 0.433, 0.865], [0.078, 0.560, 0.636], [0.082, 0.229, 0.256], [0.098, 0.075, 0.592], [0.108, 0.243, 0.862], [0.108, 0.247, 0.576], [0.110, 0.571, 0.242], [0.111, 0.754, 0.926], [0.112, 0.911, 0.194], [0.113, 0.751, 0.636], [0.114, 0.417, 0.258], [0.114, 0.908, 0.911], [0.115, 0.574, 0.532], [0.117, 0.087, 0.301], [0.121, 0.420, 0.969], [0.175, 0.344, 0.760], [0.176, 0.674, 0.428], [0.180, 0.675, 0.139], [0.183, 0.648, 0.027], [0.187, 0.316, 0.079], [0.187, 0.982, 0.409], [0.188, 0.008, 0.089], [0.189, 0.647, 0.741], [0.192, 0.347, 0.469], [0.194, 0.010, 0.802], [0.195, 0.319, 0.365], [0.195, 0.981, 0.699], [0.302, 0.483, 0.198], [0.302, 0.511, 0.302], [0.302, 0.817, 0.866], [0.307, 0.843, 0.969], [0.308, 0.146, 0.240], [0.308, 0.510, 0.590], [0.309, 0.815, 0.579], [0.310, 0.485, 0.908], [0.313, 0.174, 0.640], [0.315, 0.147, 0.527], [0.320, 0.173, 0.928], [0.322, 0.843, 0.259], [0.376, 0.919, 0.469], [0.382, 0.072, 0.031], [0.382, 0.251, 0.136], [0.382, 0.587, 0.802], [0.383, 0.255, 0.425], [0.383, 0.917, 0.759], [0.384, 0.409, 0.411], [0.384, 0.413, 0.695], [0.387, 0.071, 0.743], [0.388, 0.743, 0.362], [0.390, 0.745, 0.072], [0.399, 0.574, 0.090], [0.416, 0.728, 0.759], [0.419, 0.057, 0.135], [0.419, 0.266, 0.032], [0.420, 0.059, 0.423], [0.421, 0.393, 0.090], [0.421, 0.931, 0.365], [0.422, 0.931, 0.074], [0.424, 0.602, 0.699], [0.428, 0.399, 0.806], [0.430, 0.586, 0.409], [0.431, 0.728, 0.474], [0.433, 0.256, 0.742], [0.569, 0.397, 0.306], [0.570, 0.257, 0.239], [0.571, 0.604, 0.199], [0.572, 0.597, 0.910], [0.572, 0.929, 0.578], [0.573, 0.726, 0.969], [0.574, 0.269, 0.532], [0.576, 0.396, 0.591], [0.576, 0.934, 0.866], [0.579, 0.058, 0.637], [0.579, 0.060, 0.926], [0.581, 0.728, 0.260], [0.610, 0.411, 0.193], [0.611, 0.072, 0.240], [0.611, 0.410, 0.910], [0.611, 0.585, 0.592], [0.612, 0.737, 0.866], [0.613, 0.255, 0.925], [0.615, 0.586, 0.302], [0.615, 0.742, 0.580], [0.615, 0.919, 0.260], [0.616, 0.069, 0.532], [0.617, 0.918, 0.969], [0.618, 0.254, 0.636], [0.671, 0.838, 0.759], [0.672, 0.171, 0.429], [0.686, 0.483, 0.410], [0.689, 0.148, 0.742], [0.689, 0.173, 0.136], [0.689, 0.508, 0.089], [0.689, 0.818, 0.073], [0.691, 0.512, 0.802], [0.693, 0.483, 0.699], [0.694, 0.150, 0.032], [0.694, 0.819, 0.365], [0.694, 0.846, 0.469], [0.800, 0.347, 0.969], [0.801, 0.320, 0.865], [0.801, 0.650, 0.532], [0.802, 0.983, 0.198], [0.803, 0.012, 0.302], [0.804, 0.674, 0.927], [0.806, 0.007, 0.590], [0.806, 0.673, 0.636], [0.807, 0.320, 0.576], [0.807, 0.648, 0.241], [0.809, 0.982, 0.910], [0.828, 0.341, 0.254], [0.876, 0.754, 0.135], [0.878, 0.420, 0.470], [0.880, 0.241, 0.079], [0.880, 0.419, 0.762], [0.881, 0.570, 0.031], [0.881, 0.753, 0.426], [0.882, 0.086, 0.803], [0.882, 0.912, 0.694], [0.884, 0.572, 0.741], [0.885, 0.085, 0.091], [0.885, 0.241, 0.361], [0.885, 0.908, 0.410], [0.915, 0.228, 0.761], [0.915, 0.561, 0.427], [0.917, 0.558, 0.135], [0.918, 0.896, 0.090], [0.920, 0.437, 0.366], [0.920, 0.768, 0.031], [0.924, 0.430, 0.077], [0.925, 0.103, 0.700], [0.926, 0.756, 0.739], [0.926, 0.896, 0.807], [0.930, 0.086, 0.409], [0.930, 0.229, 0.473]]
}

---

What is the formula in the second record?
Na2Hf4Sc4Si3S9O48